Record 1
Density functional theory data (PBE-GGA) for Th10N9F13 after structural relaxation.

uncorrected energy	-8.40	eV per atom
total magnetization	0.0	μB/f.u.

Lattice parameters (Å, degrees): 4.063 4.063 29.445 90.00 90.00 90.00
Space group P-4m2 (No. 115)
Unique sites:
Th: 0.000 0.500 0.044 (multiplicity 2)
Th: 0.000 0.500 0.241 (multiplicity 2)
Th: 0.000 0.500 0.441 (multiplicity 2)
Th: 0.000 0.500 0.640 (multiplicity 2)
Th: 0.000 0.500 0.840 (multiplicity 2)
N: 0.000 0.000 0.200 (multiplicity 2)
N: 0.000 0.000 0.400 (multiplicity 2)
N: 0.500 0.500 0.000 (multiplicity 1)
N: 0.500 0.500 0.201 (multiplicity 2)
N: 0.500 0.500 0.401 (multiplicity 2)
F: 0.000 0.000 0.000 (multiplicity 1)
F: 0.000 0.000 0.099 (multiplicity 2)
F: 0.000 0.000 0.301 (multiplicity 2)
F: 0.000 0.000 0.500 (multiplicity 1)
F: 0.000 0.500 0.949 (multiplicity 2)
F: 0.500 0.500 0.104 (multiplicity 2)
F: 0.500 0.500 0.301 (multiplicity 2)
F: 0.500 0.500 0.500 (multiplicity 1)

Record 2
Density functional theory data (PBE-GGA) for ThNF after structural relaxation.

uncorrected energy	-8.72	eV per atom

Lattice parameters (Å, degrees): 4.0164 4.0164 20.4990 90.00 90.00 120.00
Space group R-3m (No. 166, hexagonal axes)
Unique sites:
Th: 0.0000 0.0000 0.2381 (multiplicity 6)
N: 0.0000 0.0000 0.1229 (multiplicity 6)
F: 0.0000 0.0000 0.3689 (multiplicity 6)

Record 3
Density functional theory data (PBE-GGA) for TiNF after structural relaxation.

uncorrected energy	-8.24	eV per atom
total magnetization	0.0	μB/f.u.

Lattice parameters (Å, degrees): 3.062 3.964 7.871 90.00 90.00 90.00
Space group Pmmn (No. 59, origin choice 2)
Unique sites:
Ti: 0.250 0.250 0.104 (multiplicity 2)
N: 0.250 0.750 0.061 (multiplicity 2)
F: 0.250 0.750 0.725 (multiplicity 2)